# Na42Mg20Ta4Si15S21O144 PBE relaxed
data_Na42Mg20Ta4Si15S21O144
_symmetry_space_group_name_H-M 'P 1'
_symmetry_Int_Tables_number 1
_symmetry_space_group_name_Hall 'P 1'
_cell_length_a 9.040
_cell_length_b 15.783
_cell_length_c 22.114
_cell_angle_alpha 90.22
_cell_angle_beta 90.05
_cell_angle_gamma 90.05
loop_
_atom_site_label
_atom_site_type_symbol
_atom_site_fract_x
_atom_site_fract_y
_atom_site_fract_z
Na1 Na 0.000 0.000 0.000
Na2 Na 0.000 0.028 0.667
Na3 Na 0.005 0.709 0.333
Na4 Na 0.006 0.389 0.010
Na5 Na 0.009 0.341 0.335
Na6 Na 0.135 0.839 0.835
Na7 Na 0.136 0.888 0.514
Na8 Na 0.139 0.212 0.833
Na9 Na 0.144 0.501 0.503
Na10 Na 0.145 0.528 0.164
Na11 Na 0.174 0.195 0.505
Na12 Na 0.202 0.529 0.844
Na13 Na 0.311 0.688 0.758
Na14 Na 0.314 0.365 0.428
Na15 Na 0.325 0.011 0.086
Na16 Na 0.328 0.023 0.591
Na17 Na 0.337 0.376 0.922
Na18 Na 0.346 0.696 0.246
Na19 Na 0.450 0.526 0.333
Na20 Na 0.460 0.875 0.667
Na21 Na 0.466 0.196 0.999
Na22 Na 0.499 0.504 0.999
Na23 Na 0.504 0.211 0.336
Na24 Na 0.505 0.883 0.012
Na25 Na 0.508 0.841 0.333
Na26 Na 0.513 0.531 0.678
Na27 Na 0.632 0.355 0.836
Na28 Na 0.635 0.029 0.162
Na29 Na 0.636 0.697 0.833
Na30 Na 0.638 0.385 0.516
Na31 Na 0.646 0.002 0.512
Na32 Na 0.679 0.694 0.503
Na33 Na 0.683 0.377 0.164
Na34 Na 0.692 0.026 0.833
Na35 Na 0.796 0.200 0.749
Na36 Na 0.815 0.523 0.087
Na37 Na 0.815 0.866 0.428
Na38 Na 0.820 0.512 0.590
Na39 Na 0.828 0.862 0.926
Na40 Na 0.846 0.198 0.252
Na41 Na 0.953 0.028 0.345
Na42 Na 0.970 0.693 0.999
Mg1 Mg 0.312 0.366 0.258
Mg2 Mg 0.316 0.690 0.904
Mg3 Mg 0.318 0.023 0.443
Mg4 Mg 0.320 0.021 0.232
Mg5 Mg 0.321 0.372 0.069
Mg6 Mg 0.325 0.365 0.570
Mg7 Mg 0.326 0.026 0.731
Mg8 Mg 0.330 0.022 0.942
Mg9 Mg 0.331 0.691 0.407
Mg10 Mg 0.341 0.366 0.767
Mg11 Mg 0.811 0.193 0.905
Mg12 Mg 0.811 0.520 0.736
Mg13 Mg 0.811 0.857 0.261
Mg14 Mg 0.815 0.522 0.443
Mg15 Mg 0.816 0.520 0.939
Mg16 Mg 0.818 0.863 0.068
Mg17 Mg 0.820 0.526 0.230
Mg18 Mg 0.823 0.870 0.571
Mg19 Mg 0.830 0.865 0.761
Mg20 Mg 0.832 0.194 0.409
Ta1 Ta 0.320 0.696 0.105
Ta2 Ta 0.327 0.697 0.604
Ta3 Ta 0.819 0.198 0.102
Ta4 Ta 0.827 0.197 0.607
Si1 Si 0.028 0.358 0.171
Si2 Si 0.116 0.858 0.671
Si3 Si 0.170 0.545 0.000
Si4 Si 0.171 0.841 0.998
Si5 Si 0.469 0.544 0.499
Si6 Si 0.473 0.511 0.171
Si7 Si 0.477 0.842 0.497
Si8 Si 0.522 0.530 0.836
Si9 Si 0.523 0.862 0.170
Si10 Si 0.619 0.362 0.669
Si11 Si 0.665 0.343 0.997
Si12 Si 0.671 0.010 0.670
Si13 Si 0.675 0.044 0.999
Si14 Si 0.970 0.045 0.498
Si15 Si 0.975 0.342 0.499
S1 S 0.032 0.029 0.837
S2 S 0.033 0.693 0.500
S3 S 0.112 0.193 0.000
S4 S 0.112 0.529 0.337
S5 S 0.170 0.510 0.669
S6 S 0.170 0.879 0.335
S7 S 0.176 0.215 0.670
S8 S 0.181 0.171 0.335
S9 S 0.464 0.171 0.837
S10 S 0.468 0.212 0.169
S11 S 0.473 0.880 0.836
S12 S 0.532 0.193 0.500
S13 S 0.612 0.695 0.002
S14 S 0.615 0.029 0.336
S15 S 0.672 0.377 0.336
S16 S 0.679 0.713 0.667
S17 S 0.681 0.673 0.337
S18 S 0.962 0.673 0.835
S19 S 0.971 0.009 0.170
S20 S 0.971 0.377 0.836
S21 S 0.971 0.714 0.170
O1 O 0.005 0.871 0.329
O2 O 0.007 0.206 0.665
O3 O 0.008 0.181 0.055
O4 O 0.012 0.525 0.676
O5 O 0.015 0.181 0.337
O6 O 0.018 0.522 0.391
O7 O 0.018 0.869 0.610
O8 O 0.020 0.538 0.282
O9 O 0.022 0.206 0.946
O10 O 0.028 0.840 0.733
O11 O 0.113 0.338 0.234
O12 O 0.122 0.707 0.445
O13 O 0.124 0.037 0.782
O14 O 0.126 0.022 0.891
O15 O 0.126 0.686 0.837
O16 O 0.128 0.367 0.112
O17 O 0.130 0.024 0.177
O18 O 0.135 0.365 0.828
O19 O 0.135 0.682 0.554
O20 O 0.138 0.706 0.165
O21 O 0.151 0.044 0.499
O22 O 0.152 0.347 0.511
O23 O 0.197 0.460 0.613
O24 O 0.197 0.929 0.391
O25 O 0.198 0.114 0.998
O26 O 0.201 0.786 0.937
O27 O 0.202 0.266 0.725
O28 O 0.207 0.608 0.339
O29 O 0.208 0.266 0.010
O30 O 0.208 0.452 0.335
O31 O 0.213 0.609 0.060
O32 O 0.216 0.118 0.282
O33 O 0.225 0.942 0.675
O34 O 0.230 0.127 0.676
O35 O 0.232 0.772 0.661
O36 O 0.234 0.254 0.615
O37 O 0.235 0.792 0.339
O38 O 0.238 0.921 0.283
O39 O 0.239 0.131 0.391
O40 O 0.239 0.451 0.007
O41 O 0.241 0.471 0.722
O42 O 0.246 0.935 0.999
O43 O 0.247 0.588 0.942
O44 O 0.250 0.596 0.662
O45 O 0.252 0.257 0.332
O46 O 0.253 0.787 0.055
O47 O 0.387 0.605 0.160
O48 O 0.390 0.475 0.232
O49 O 0.391 0.585 0.440
O50 O 0.393 0.256 0.832
O51 O 0.396 0.788 0.557
O52 O 0.399 0.450 0.507
O53 O 0.399 0.935 0.500
O54 O 0.404 0.795 0.840
O55 O 0.406 0.132 0.894
O56 O 0.409 0.921 0.782
O57 O 0.411 0.124 0.177
O58 O 0.412 0.250 0.115
O59 O 0.413 0.445 0.832
O60 O 0.417 0.776 0.160
O61 O 0.418 0.617 0.840
O62 O 0.420 0.948 0.174
O63 O 0.422 0.608 0.558
O64 O 0.428 0.117 0.785
O65 O 0.434 0.267 0.508
O66 O 0.440 0.787 0.437
O67 O 0.443 0.115 0.496
O68 O 0.447 0.449 0.114
O69 O 0.447 0.933 0.890
O70 O 0.449 0.265 0.225
O71 O 0.489 0.344 0.008
O72 O 0.495 0.024 0.676
O73 O 0.495 0.044 0.001
O74 O 0.506 0.703 0.662
O75 O 0.507 0.367 0.331
O76 O 0.512 0.683 0.056
O77 O 0.515 0.374 0.610
O78 O 0.516 0.682 0.338
O79 O 0.521 0.038 0.281
O80 O 0.522 0.018 0.390
O81 O 0.524 0.710 0.947
O82 O 0.530 0.343 0.731
O83 O 0.611 0.846 0.234
O84 O 0.621 0.208 0.445
O85 O 0.623 0.545 0.776
O86 O 0.627 0.513 0.896
O87 O 0.629 0.181 0.838
O88 O 0.632 0.181 0.553
O89 O 0.633 0.876 0.114
O90 O 0.638 0.869 0.830
O91 O 0.640 0.202 0.165
O92 O 0.649 0.525 0.177
O93 O 0.649 0.544 0.500
O94 O 0.654 0.844 0.507
O95 O 0.695 0.766 0.722
O96 O 0.696 0.951 0.611
O97 O 0.701 0.429 0.391
O98 O 0.702 0.285 0.940
O99 O 0.703 0.617 0.999
O100 O 0.707 0.108 0.338
O101 O 0.709 0.769 0.011
O102 O 0.716 0.954 0.332
O103 O 0.718 0.620 0.284
O104 O 0.721 0.106 0.061
O105 O 0.726 0.275 0.658
O106 O 0.726 0.446 0.672
O107 O 0.730 0.754 0.612
O108 O 0.737 0.418 0.282
O109 O 0.738 0.627 0.672
O110 O 0.739 0.290 0.340
O111 O 0.739 0.635 0.393
O112 O 0.745 0.950 0.007
O113 O 0.746 0.287 0.058
O114 O 0.748 0.434 0.003
O115 O 0.751 0.759 0.333
O116 O 0.754 0.973 0.730
O117 O 0.755 0.087 0.942
O118 O 0.758 0.105 0.659
O119 O 0.887 0.759 0.831
O120 O 0.892 0.094 0.166
O121 O 0.892 0.286 0.554
O122 O 0.894 0.086 0.439
O123 O 0.899 0.436 0.500
O124 O 0.902 0.951 0.506
O125 O 0.903 0.289 0.840
O126 O 0.904 0.969 0.225
O127 O 0.905 0.419 0.784
O128 O 0.906 0.634 0.892
O129 O 0.910 0.755 0.116
O130 O 0.911 0.271 0.163
O131 O 0.915 0.626 0.176
O132 O 0.920 0.441 0.175
O133 O 0.926 0.110 0.557
O134 O 0.931 0.619 0.782
O135 O 0.935 0.952 0.835
O136 O 0.936 0.767 0.509
O137 O 0.937 0.107 0.839
O138 O 0.943 0.959 0.116
O139 O 0.945 0.614 0.497
O140 O 0.946 0.764 0.226
O141 O 0.950 0.289 0.437
O142 O 0.950 0.426 0.892
O143 O 0.989 0.544 0.000
O144 O 0.993 0.846 0.010
# ΔE_f: -2.53 eV/atom
# Total energy after the MP2020 corrections: -1637.3 eV for the cell shown
# E_tot: -6.25 eV per atom
# Crystal system: triclinic